BaNaFe4P6H3O25: relaxed, GGA+U.

Cell: 9.4290 22.9131 9.1417 Å, 90.00 91.90 90.00°
With the nearest neighbours (Å) after each atom.
Fractional positions:
O 0.4038 0.7091 0.7701  1 P 1.52
O 0.0241 0.6214 0.1863  1 P 1.51
O 0.5322 0.5648 0.1036  1 P 1.56
O 0.0674 0.7138 0.6268  1 P 1.53
O 0.2006 0.4337 0.0354  1 P 1.55
O 0.0609 0.3901 0.5538  1 H 0.99
O 0.7448 0.2985 0.8657  1 P 1.59
O 0.5457 0.4850 0.6653  1 P 1.52
O 0.0830 0.2067 0.1805  1 P 1.52
O 0.5962 0.2909 0.2299  1 P 1.52
O 0.5676 0.8779 0.3257  1 P 1.53
O 0.0966 0.1250 0.7438  1 P 1.54
O 0.7283 0.4387 0.8445  1 H 1.55, 1 P 1.57
O 0.9361 0.0631 0.5785  1 P 1.53
O 0.2552 0.7985 0.6343  1 P 1.59
O 0.6888 0.1172 0.6085  1 P 1.52
O 0.2104 0.9907 0.1195  1 Na 2.47
O 0.0830 0.2933 0.6805  1 P 1.52
O 0.7283 0.0613 0.3445  1 H 1.55, 1 P 1.57
O 0.2717 0.5613 0.1555  1 H 1.55, 1 P 1.57
O 0.4038 0.7909 0.2701  1 P 1.52
O 0.4138 0.2134 0.0686  1 P 1.54
O 0.2307 0.2004 0.5379  1 P 1.58
O 0.0609 0.1099 0.0538  1 H 0.99
O 0.9326 0.2138 0.8732  1 P 1.53
O 0.5457 0.0150 0.1653  1 P 1.52
O 0.4363 0.8760 0.8141  1 P 1.55
O 0.9170 0.7067 0.3195  1 P 1.52
O 0.7994 0.9337 0.4646  1 P 1.55
O 0.2006 0.0663 0.5354  1 P 1.55
O 0.9169 0.2974 0.0613  1 P 1.59
O 0.7632 0.8810 0.7422  1 P 1.54
O 0.0831 0.7026 0.9387  1 P 1.59
O 0.2668 0.7895 0.9560  1 P 1.55
O 0.7487 0.7147 0.6452  1 P 1.53
O 0.1127 0.4825 0.2636  1 H 1.03
O 0.5635 0.7006 0.1107  1 P 1.59
O 0.2513 0.2147 0.8548  1 P 1.53
O 0.7693 0.7996 0.4621  1 P 1.58
O 0.9361 0.4369 0.0785  1 P 1.53
O 0.1127 0.0175 0.7636  1 H 1.03
O 0.4138 0.2866 0.5686  1 P 1.54
O 0.6888 0.3828 0.1085  1 P 1.52
O 0.0831 0.7974 0.4387  1 P 1.59
O 0.7448 0.2015 0.3657  1 P 1.59
O 0.9034 0.6250 0.7562  1 P 1.54
O 0.7632 0.6190 0.2422  1 P 1.54
O 0.7896 0.0093 0.8805  1 Na 2.47
O 0.7332 0.2895 0.5440  1 P 1.55
O 0.2368 0.1190 0.2579  1 P 1.54
O 0.5862 0.7134 0.4314  1 P 1.54
O 0.8873 0.9825 0.2364  1 H 1.03
O 0.2513 0.2853 0.3548  1 P 1.53
O 0.2668 0.7105 0.4560  1 P 1.55
O 0.5676 0.6221 0.8257  1 P 1.53
O 0.9169 0.2026 0.5613  1 P 1.59
O 0.4365 0.2006 0.3893  1 P 1.59
O 0.6179 0.3827 0.3742  1 H 1.00
O 0.2552 0.7015 0.1343  1 P 1.59
O 0.9391 0.8901 0.9462  1 H 0.99
O 0.5962 0.2091 0.7299  1 P 1.52
O 0.7994 0.5663 0.9646  1 P 1.55
O 0.9759 0.3786 0.8137  1 P 1.51
O 0.0674 0.7862 0.1268  1 P 1.53
O 0.9326 0.2862 0.3732  1 P 1.53
O 0.7487 0.7853 0.1452  1 P 1.53
O 0.2368 0.3810 0.7578  1 P 1.54
O 0.2717 0.9387 0.6555  1 H 1.55, 1 P 1.57
O 0.4543 0.5150 0.3347  1 P 1.52
O 0.9759 0.1214 0.3137  1 P 1.51
O 0.2104 0.5093 0.6195  1 Na 2.47
O 0.4678 0.0648 0.3964  1 P 1.56
O 0.3821 0.8827 0.1258  1 H 1.00
O 0.0639 0.9369 0.4215  1 P 1.53
O 0.4543 0.9850 0.8347  1 P 1.52
O 0.6179 0.1173 0.8742  1 H 1.00
O 0.2307 0.2996 0.0379  1 P 1.58
O 0.7896 0.4907 0.3805  1 Na 2.47
O 0.5322 0.9352 0.6036  1 P 1.56
O 0.4324 0.1221 0.6743  1 P 1.53
O 0.5862 0.7866 0.9314  1 P 1.54
O 0.4678 0.4352 0.8964  1 P 1.56
O 0.3821 0.6173 0.6258  1 H 1.00
O 0.0966 0.3750 0.2438  1 P 1.54
O 0.5635 0.7994 0.6107  1 P 1.59
O 0.3112 0.6172 0.8915  1 P 1.52
O 0.3112 0.8828 0.3915  1 P 1.52
O 0.4324 0.3779 0.1743  1 P 1.53
O 0.0241 0.8786 0.6863  1 P 1.51
O 0.8873 0.5175 0.7364  1 H 1.03
O 0.9170 0.7933 0.8195  1 P 1.52
O 0.9034 0.8750 0.2562  1 P 1.54
O 0.5637 0.3760 0.6859  1 P 1.55
O 0.5637 0.1240 0.1859  1 P 1.55
O 0.9391 0.6099 0.4462  1 H 0.99
O 0.4363 0.6240 0.3141  1 P 1.55
O 0.0639 0.5631 0.9215  1 P 1.53
O 0.7693 0.7004 0.9621  1 P 1.58
O 0.7332 0.2105 0.0440  1 P 1.55
O 0.4365 0.2994 0.8893  1 P 1.59
P 0.5762 0.4347 0.7707  4 O 1.52-1.57
P 0.6674 0.7545 0.5372  4 O 1.53-1.59
P 0.9116 0.8587 0.7899  4 O 1.51-1.61
P 0.9155 0.9310 0.3490  4 O 1.53-1.58
P 0.8321 0.2519 0.9611  4 O 1.53-1.59
P 0.9155 0.5690 0.8490  4 O 1.53-1.58
P 0.1679 0.7519 0.5389  4 O 1.53-1.59
P 0.0845 0.0690 0.6510  4 O 1.53-1.58
P 0.8321 0.2481 0.4611  4 O 1.53-1.59
P 0.4167 0.6433 0.7870  4 O 1.52-1.61
P 0.0884 0.3587 0.7101  4 O 1.51-1.61
P 0.9116 0.6413 0.2899  4 O 1.51-1.61
P 0.0884 0.1413 0.2101  4 O 1.51-1.61
P 0.4238 0.9347 0.7293  4 O 1.52-1.57
P 0.5833 0.1433 0.7130  4 O 1.52-1.61
P 0.1679 0.7481 0.0389  4 O 1.53-1.59
P 0.4238 0.5653 0.2293  4 O 1.52-1.57
P 0.6674 0.7455 0.0372  4 O 1.53-1.59
P 0.5762 0.0653 0.2707  4 O 1.52-1.57
P 0.3326 0.2545 0.9628  4 O 1.53-1.59
P 0.5833 0.3567 0.2130  4 O 1.52-1.61
P 0.4167 0.8567 0.2870  4 O 1.52-1.61
P 0.0845 0.4310 0.1510  4 O 1.53-1.58
P 0.3326 0.2455 0.4628  4 O 1.53-1.59
Fe 0.5820 0.2915 0.7063  5 O 1.91-2.09
Fe 0.3366 0.1241 0.4670  6 O 1.96-2.13
Fe 0.9172 0.7109 0.7819  5 O 1.92-2.09
Fe 0.1657 0.8757 0.5402  5 O 1.92-2.13
Fe 0.4180 0.7085 0.2937  5 O 1.91-2.09
Fe 0.4180 0.7915 0.7937  5 O 1.91-2.09
Fe 0.3366 0.3759 0.9670  6 O 1.96-2.13
Fe 0.0828 0.2891 0.2181  5 O 1.92-2.09
Fe 0.1657 0.6243 0.0402  5 O 1.92-2.13
Fe 0.9172 0.7891 0.2819  5 O 1.92-2.09
Fe 0.6634 0.6241 0.0330  6 O 1.96-2.13
Fe 0.5820 0.2085 0.2063  5 O 1.91-2.09
Fe 0.0828 0.2109 0.7181  5 O 1.92-2.09
Fe 0.6634 0.8759 0.5330  6 O 1.96-2.13
Fe 0.8343 0.1243 0.4598  5 O 1.92-2.13
Fe 0.8343 0.3757 0.9598  5 O 1.92-2.13
H 0.1689 0.5170 0.2229  1 O 1.03
H 0.0007 0.8677 0.0152  1 O 0.99
H 0.3309 0.8533 0.0621  1 O 1.00
H 0.3309 0.6467 0.5621  1 O 1.00
H 0.0007 0.6323 0.5152  1 O 0.99
H 0.8311 0.0170 0.2771  1 O 1.03
H 0.1689 0.9830 0.7229  1 O 1.03
H 0.9993 0.3677 0.4848  1 O 0.99
H 0.6691 0.1467 0.9379  1 O 1.00
H 0.8311 0.4830 0.7771  1 O 1.03
H 0.6691 0.3533 0.4379  1 O 1.00
H 0.9993 0.1323 0.9848  1 O 0.99
Ba 0.6579 0.9175 0.0366  8 O 2.75-3.04
Ba 0.3421 0.4175 0.4634  8 O 2.75-3.04
Ba 0.3421 0.0825 0.9634  8 O 2.75-3.04
Ba 0.6579 0.5825 0.5366  8 O 2.75-3.04
Na 0.7145 0.0114 0.6187  5 O 2.42-2.47
Na 0.2855 0.5114 0.8813  5 O 2.42-2.47
Na 0.7145 0.4886 0.1187  5 O 2.42-2.47
Na 0.2855 0.9886 0.3813  5 O 2.42-2.47

Computed properties:
The formation energy comes out at -2.27 eV per atom. As for the energy: -6.71 eV per atom. The total magnetization comes out at 87.25 μB/cell.